Material: CsTa6PbCl18
Method: DFT, PBE-GGA
State: optimized geometry

Output
* SG: P-31c, No. 163
* corrected total energy (MP2020 scheme): -309.8 eV/cell
* calculated formation energy: -1765 meV/atom

Cell: 9.4399 9.4399 17.5880 Å, 90.00 90.00 120.00°
With the nearest neighbours (Å) after each atom.
Positions (direct):
Cs (0.6667, 0.3333, 0.7500)  12 Cl 3.69-4.03
Cs (0.3333, 0.6667, 0.2500)  12 Cl 3.69-4.03
Ta (0.8084, 0.8349, 0.9319)  5 Cl 2.45-2.62
Ta (0.8349, 0.0265, 0.0681)  5 Cl 2.45-2.62
Ta (0.1916, 0.0265, 0.4319)  5 Cl 2.45-2.62
Ta (0.1916, 0.1651, 0.0681)  5 Cl 2.45-2.62
Ta (0.1651, 0.9735, 0.9319)  5 Cl 2.45-2.62
Ta (0.9735, 0.1651, 0.4319)  5 Cl 2.45-2.62
Ta (0.8084, 0.9735, 0.5681)  5 Cl 2.45-2.62
Ta (0.0265, 0.8349, 0.5681)  5 Cl 2.45-2.62
Ta (0.1651, 0.1916, 0.5681)  5 Cl 2.45-2.62
Ta (0.8349, 0.8084, 0.4319)  5 Cl 2.45-2.62
Ta (0.9735, 0.8084, 0.0681)  5 Cl 2.45-2.62
Ta (0.0265, 0.1916, 0.9319)  5 Cl 2.45-2.62
Pb (0.6667, 0.3333, 0.2500)  6 Cl 2.97
Pb (0.3333, 0.6667, 0.7500)  6 Cl 2.97
Cl (0.8379, 0.5834, 0.5001)  2 Ta 2.45
Cl (0.0540, 0.6239, 0.6551)  1 Ta 2.62
Cl (0.4166, 0.1621, 0.9999)  2 Ta 2.45
Cl (0.7455, 0.1621, 0.5001)  2 Ta 2.45
Cl (0.1621, 0.7455, 0.0001)  2 Ta 2.45
Cl (0.1621, 0.4166, 0.4999)  2 Ta 2.45
Cl (0.2239, 0.0303, 0.6595)  2 Ta 2.45-2.46
Cl (0.9697, 0.1936, 0.6595)  2 Ta 2.45-2.46
Cl (0.6239, 0.0540, 0.1551)  1 Ta 2.62
Cl (0.1936, 0.9697, 0.1595)  2 Ta 2.45-2.46
Cl (0.0303, 0.2239, 0.1595)  2 Ta 2.45-2.46
Cl (0.5700, 0.6239, 0.8449)  1 Ta 2.62
Cl (0.5834, 0.8379, 0.0001)  2 Ta 2.45
Cl (0.3761, 0.4300, 0.6551)  1 Ta 2.62
Cl (0.4166, 0.2545, 0.5001)  2 Ta 2.45
Cl (0.8379, 0.2545, 0.9999)  2 Ta 2.45
Cl (0.4300, 0.0540, 0.3449)  1 Ta 2.62
Cl (0.7761, 0.9697, 0.3405)  2 Ta 2.45-2.46
Cl (0.5834, 0.7455, 0.4999)  2 Ta 2.45
Cl (0.8064, 0.0303, 0.8405)  2 Ta 2.45-2.46
Cl (0.2545, 0.8379, 0.4999)  2 Ta 2.45
Cl (0.6239, 0.5700, 0.3449)  1 Ta 2.62
Cl (0.9460, 0.5700, 0.1551)  1 Ta 2.62
Cl (0.9460, 0.3761, 0.3449)  1 Ta 2.62
Cl (0.7761, 0.8064, 0.1595)  2 Ta 2.45-2.46
Cl (0.9697, 0.7761, 0.8405)  2 Ta 2.45-2.46
Cl (0.5700, 0.9460, 0.6551)  1 Ta 2.62
Cl (0.2239, 0.1936, 0.8405)  2 Ta 2.45-2.46
Cl (0.2545, 0.4166, 0.0001)  2 Ta 2.45
Cl (0.1936, 0.2239, 0.3405)  2 Ta 2.45-2.46
Cl (0.3761, 0.9460, 0.8449)  1 Ta 2.62
Cl (0.0540, 0.4300, 0.8449)  1 Ta 2.62
Cl (0.8064, 0.7761, 0.6595)  2 Ta 2.45-2.46
Cl (0.4300, 0.3761, 0.1551)  1 Ta 2.62
Cl (0.0303, 0.8064, 0.3405)  2 Ta 2.45-2.46
Cl (0.7455, 0.5834, 0.9999)  2 Ta 2.45


Material: Cs2PdCl4
Method: DFT, PBE-GGA
State: optimized geometry

Output
* SG: P4/mmm, No. 123
* corrected total energy (MP2020 scheme): -26.6 eV/cell
* calculated formation energy: -1751 meV/atom

Cell: 7.5832 7.5832 4.7665 Å, 90.00 90.00 90.00°
With the nearest neighbours (Å) after each atom.
Positions (direct):
Cs (0.0000, 0.5000, 0.5000)  8 Cl 3.60
Cs (0.5000, 0.0000, 0.5000)  8 Cl 3.60
Pd (0.0000, 0.0000, 0.0000)  4 Cl 2.34
Cl (0.2181, 0.2181, 0.0000)  1 Pd 2.34
Cl (0.7819, 0.7819, 0.0000)  1 Pd 2.34
Cl (0.2181, 0.7819, 0.0000)  1 Pd 2.34
Cl (0.7819, 0.2181, 0.0000)  1 Pd 2.34


Material: Cs2PdCl4
Method: DFT, PBE-GGA
State: optimized geometry

Output
* SG: Cmcm, No. 63
* corrected total energy (MP2020 scheme): -53.2 eV/cell
* calculated formation energy: -1751 meV/atom

Cell: 7.6355 7.6355 9.4839 Å, 90.00 90.00 90.03°
With the nearest neighbours (Å) after each atom.
Positions (direct):
Cs (0.4968, 0.0059, 0.7500)  8 Cl 3.61-3.62
Cs (0.5032, 0.9941, 0.2500)  8 Cl 3.61-3.62
Cs (0.0059, 0.4968, 0.7500)  8 Cl 3.61-3.62
Cs (0.9941, 0.5032, 0.2500)  8 Cl 3.61-3.62
Pd (0.0000, 0.0000, 0.5000)  4 Cl 2.34
Pd (0.0000, 0.0000, 0.0000)  4 Cl 2.34
Cl (0.7837, 0.7837, 0.9937)  1 Pd 2.34
Cl (0.2163, 0.2163, 0.4937)  1 Pd 2.34
Cl (0.7837, 0.7837, 0.5063)  1 Pd 2.34
Cl (0.2163, 0.2163, 0.0063)  1 Pd 2.34
Cl (0.7837, 0.2163, 0.5000)  1 Pd 2.34
Cl (0.2163, 0.7837, 0.0000)  1 Pd 2.34
Cl (0.7837, 0.2163, 0.0000)  1 Pd 2.34
Cl (0.2163, 0.7837, 0.5000)  1 Pd 2.34


Material: CsPdCl3
Method: DFT, PBE-GGA
State: optimized geometry

Output
* SG: Pm-3m, No. 221
* corrected total energy (MP2020 scheme): -18.8 eV/cell
* calculated formation energy: -1441 meV/atom

Cell: 5.0632 5.0632 5.0632 Å, 90.00 90.00 90.00°
With the nearest neighbours (Å) after each atom.
Positions (direct):
Cs (0.5000, 0.5000, 0.5000)  12 Cl 3.58
Pd (0.0000, 0.0000, 0.0000)  6 Cl 2.53
Cl (0.0000, 0.0000, 0.5000)  2 Pd 2.53
Cl (0.5000, 0.0000, 0.0000)  2 Pd 2.53
Cl (0.0000, 0.5000, 0.0000)  2 Pd 2.53


Material: CsPdCl3
Method: DFT, PBE-GGA
State: optimized geometry

Output
* SG: Ibam, No. 72
* corrected total energy (MP2020 scheme): -76.1 eV/cell
* calculated formation energy: -1483 meV/atom

Cell: 9.9411 9.9411 9.9411 Å, 124.75 115.07 90.36°
With the nearest neighbours (Å) after each atom.
Positions (direct):
Cs (0.1755, 0.4255, 0.2500)  10 Cl 3.66-3.91
Cs (0.8245, 0.0745, 0.2500)  10 Cl 3.66-3.91
Cs (0.8245, 0.5745, 0.7500)  10 Cl 3.66-3.91
Cs (0.1755, 0.9255, 0.7500)  10 Cl 3.66-3.91
Pd (0.5947, 0.9484, 0.6463)  4 Cl 2.30-2.35
Pd (0.4053, 0.0516, 0.3537)  4 Cl 2.30-2.35
Pd (0.6979, 0.5516, 0.1463)  4 Cl 2.30-2.35
Pd (0.3021, 0.4484, 0.8537)  4 Cl 2.30-2.35
Cl (0.6665, 0.1038, 0.5627)  2 Pd 2.35
Cl (0.3335, 0.8962, 0.4373)  2 Pd 2.35
Cl (0.4589, 0.3962, 0.0627)  2 Pd 2.35
Cl (0.5411, 0.6038, 0.9373)  2 Pd 2.35
Cl (0.8533, 0.0040, 0.8493)  1 Pd 2.30
Cl (0.1467, 0.9960, 0.1507)  1 Pd 2.30
Cl (0.8453, 0.4960, 0.3493)  1 Pd 2.30
Cl (0.1547, 0.5040, 0.6507)  1 Pd 2.30
Cl (0.0753, 0.2929, 0.7823)  1 Pd 2.31
Cl (0.9247, 0.7071, 0.2177)  1 Pd 2.31
Cl (0.4894, 0.2071, 0.2823)  1 Pd 2.31
Cl (0.5106, 0.7929, 0.7177)  1 Pd 2.31


Material: Cs3PrCl6
Method: DFT, PBE-GGA
State: optimized geometry

Output
* SG: Fm-3m, No. 225
* corrected total energy (MP2020 scheme): -43.1 eV/cell
* calculated formation energy: -2455 meV/atom

Cell: 8.5475 8.5475 8.5475 Å, 60.00 60.00 60.00°
With the nearest neighbours (Å) after each atom.
Positions (direct):
Cs (0.5000, 0.5000, 0.5000)  6 Cl 3.29
Cs (0.2500, 0.2500, 0.2500)  12 Cl 4.28
Cs (0.7500, 0.7500, 0.7500)  12 Cl 4.28
Pr (0.0000, 0.0000, 0.0000)  6 Cl 2.76
Cl (0.7718, 0.2282, 0.2282)  1 Pr 2.76
Cl (0.2282, 0.7718, 0.7718)  1 Pr 2.76
Cl (0.2282, 0.7718, 0.2282)  1 Pr 2.76
Cl (0.7718, 0.2282, 0.7718)  1 Pr 2.76
Cl (0.2282, 0.2282, 0.7718)  1 Pr 2.76
Cl (0.7718, 0.7718, 0.2282)  1 Pr 2.76


Material: Cs3PrCl6
Method: DFT, PBE-GGA
State: optimized geometry

Output
* SG: C2/c, No. 15
* corrected total energy (MP2020 scheme): -174.6 eV/cell
* calculated formation energy: -2510 meV/atom

Cell: 14.3778 14.3778 13.6474 Å, 80.92 80.92 34.77°
With the nearest neighbours (Å) after each atom.
Positions (direct):
Cs (0.3024, 0.7961, 0.0673)  8 Cl 3.72-4.11
Cs (0.6976, 0.2039, 0.9327)  8 Cl 3.72-4.11
Cs (0.2039, 0.6976, 0.4327)  8 Cl 3.72-4.11
Cs (0.7961, 0.3024, 0.5673)  8 Cl 3.72-4.11
Cs (0.4648, 0.8419, 0.3559)  7 Cl 3.45-3.82
Cs (0.5352, 0.1581, 0.6441)  7 Cl 3.45-3.82
Cs (0.1581, 0.5352, 0.1441)  7 Cl 3.45-3.82
Cs (0.8419, 0.4648, 0.8559)  7 Cl 3.45-3.82
Cs (0.6498, 0.0259, 0.2993)  8 Cl 3.49-3.90
Cs (0.3502, 0.9741, 0.7007)  8 Cl 3.49-3.90
Cs (0.9741, 0.3502, 0.2007)  8 Cl 3.49-3.90
Cs (0.0259, 0.6498, 0.7993)  8 Cl 3.49-3.90
Pr (0.7822, 0.2178, 0.2500)  6 Cl 2.75-2.79
Pr (0.2178, 0.7822, 0.7500)  6 Cl 2.75-2.79
Pr (0.5000, 0.0000, 0.0000)  6 Cl 2.78-2.79
Pr (0.0000, 0.5000, 0.5000)  6 Cl 2.78-2.79
Cl (0.6201, 0.7256, 0.0815)  1 Pr 2.79
Cl (0.3799, 0.2744, 0.9185)  1 Pr 2.79
Cl (0.2744, 0.3799, 0.4185)  1 Pr 2.79
Cl (0.7256, 0.6201, 0.5815)  1 Pr 2.79
Cl (0.4986, 0.3849, 0.1800)  1 Pr 2.78
Cl (0.5014, 0.6151, 0.8200)  1 Pr 2.78
Cl (0.6151, 0.5014, 0.3200)  1 Pr 2.78
Cl (0.3849, 0.4986, 0.6800)  1 Pr 2.78
Cl (0.7798, 0.8661, 0.0350)  1 Pr 2.78
Cl (0.2202, 0.1339, 0.9650)  1 Pr 2.78
Cl (0.1339, 0.2202, 0.4650)  1 Pr 2.78
Cl (0.8661, 0.7798, 0.5350)  1 Pr 2.78
Cl (0.9176, 0.9666, 0.6961)  1 Pr 2.79
Cl (0.0824, 0.0334, 0.3039)  1 Pr 2.79
Cl (0.0334, 0.0824, 0.8039)  1 Pr 2.79
Cl (0.9666, 0.9176, 0.1961)  1 Pr 2.79
Cl (0.7169, 0.1665, 0.4342)  1 Pr 2.75
Cl (0.2831, 0.8335, 0.5658)  1 Pr 2.75
Cl (0.8335, 0.2831, 0.0658)  1 Pr 2.75
Cl (0.1665, 0.7169, 0.9342)  1 Pr 2.75
Cl (0.3617, 0.1392, 0.1843)  1 Pr 2.79
Cl (0.6383, 0.8608, 0.8157)  1 Pr 2.79
Cl (0.8608, 0.6383, 0.3157)  1 Pr 2.79
Cl (0.1392, 0.3617, 0.6843)  1 Pr 2.79


Material: CsPr2Cl7
Method: DFT, PBE-GGA
State: optimized geometry

Output
* SG: Pnma, No. 62
* corrected total energy (MP2020 scheme): -402.6 eV/cell
* calculated formation energy: -2692 meV/atom

Cell: 9.8510 15.1576 16.9909 Å, 90.00 90.00 90.00°
With the nearest neighbours (Å) after each atom.
Positions (direct):
Cs (0.2500, 0.9155, 0.5978)  5 Cl 3.30-3.54
Cs (0.7500, 0.0845, 0.4022)  5 Cl 3.30-3.54
Cs (0.7500, 0.5845, 0.0978)  5 Cl 3.30-3.54
Cs (0.2500, 0.4155, 0.9022)  5 Cl 3.30-3.54
Cs (0.2500, 0.5690, 0.5692)  3 Cl 3.48-3.68
Cs (0.7500, 0.4310, 0.4308)  3 Cl 3.48-3.68
Cs (0.7500, 0.9310, 0.0692)  3 Cl 3.48-3.68
Cs (0.2500, 0.0690, 0.9308)  3 Cl 3.48-3.68
Pr (0.0265, 0.7443, 0.8392)  8 Cl 2.83-2.99
Pr (0.9735, 0.2557, 0.1608)  8 Cl 2.83-2.99
Pr (0.9735, 0.7557, 0.3392)  8 Cl 2.83-2.99
Pr (0.5265, 0.2557, 0.1608)  8 Cl 2.83-2.99
Pr (0.0265, 0.2443, 0.6608)  8 Cl 2.83-2.99
Pr (0.4735, 0.7443, 0.8392)  8 Cl 2.83-2.99
Pr (0.4735, 0.2443, 0.6608)  8 Cl 2.83-2.99
Pr (0.5265, 0.7557, 0.3392)  8 Cl 2.83-2.99
Pr (0.2500, 0.7119, 0.0611)  7 Cl 2.75-2.95
Pr (0.7500, 0.2881, 0.9389)  7 Cl 2.75-2.95
Pr (0.7500, 0.7881, 0.5611)  7 Cl 2.75-2.95
Pr (0.2500, 0.2119, 0.4389)  7 Cl 2.75-2.95
Pr (0.2500, 0.5130, 0.2560)  8 Cl 2.88-3.09
Pr (0.7500, 0.4870, 0.7440)  8 Cl 2.88-3.09
Pr (0.7500, 0.9870, 0.7560)  8 Cl 2.88-3.09
Pr (0.2500, 0.0130, 0.2440)  8 Cl 2.88-3.09
Cl (0.5743, 0.9149, 0.8787)  2 Pr 2.85-2.92
Cl (0.4257, 0.0851, 0.1213)  2 Pr 2.85-2.92
Cl (0.4257, 0.5851, 0.3787)  2 Pr 2.85-2.92
Cl (0.0743, 0.0851, 0.1213)  2 Pr 2.85-2.92
Cl (0.5743, 0.4149, 0.6213)  2 Pr 2.85-2.92
Cl (0.9257, 0.9149, 0.8787)  2 Pr 2.85-2.92
Cl (0.9257, 0.4149, 0.6213)  2 Pr 2.85-2.92
Cl (0.0743, 0.5851, 0.3787)  2 Pr 2.85-2.92
Cl (0.0199, 0.7778, 0.5044)  2 Pr 2.83-2.86
Cl (0.9801, 0.2222, 0.4956)  2 Pr 2.83-2.86
Cl (0.9801, 0.7222, 0.0044)  2 Pr 2.83-2.86
Cl (0.5199, 0.2222, 0.4956)  2 Pr 2.83-2.86
Cl (0.0199, 0.2778, 0.9956)  2 Pr 2.83-2.86
Cl (0.4801, 0.7778, 0.5044)  2 Pr 2.83-2.86
Cl (0.4801, 0.2778, 0.9956)  2 Pr 2.83-2.86
Cl (0.5199, 0.7222, 0.0044)  2 Pr 2.83-2.86
Cl (0.2500, 0.8061, 0.3446)  2 Pr 2.83
Cl (0.7500, 0.1939, 0.6554)  2 Pr 2.83
Cl (0.7500, 0.6939, 0.8446)  2 Pr 2.83
Cl (0.2500, 0.3061, 0.1554)  2 Pr 2.83
Cl (0.2500, 0.7513, 0.7319)  2 Pr 2.86
Cl (0.7500, 0.2487, 0.2681)  2 Pr 2.86
Cl (0.7500, 0.7487, 0.2319)  2 Pr 2.86
Cl (0.2500, 0.2513, 0.7681)  2 Pr 2.86
Cl (0.5758, 0.8305, 0.6971)  3 Pr 2.92-3.09
Cl (0.4242, 0.1695, 0.3029)  3 Pr 2.92-3.09
Cl (0.4242, 0.6695, 0.1971)  3 Pr 2.92-3.09
Cl (0.0758, 0.1695, 0.3029)  3 Pr 2.92-3.09
Cl (0.5758, 0.3305, 0.8029)  3 Pr 2.92-3.09
Cl (0.9242, 0.8305, 0.6971)  3 Pr 2.92-3.09
Cl (0.9242, 0.3305, 0.8029)  3 Pr 2.92-3.09
Cl (0.0758, 0.6695, 0.1971)  3 Pr 2.92-3.09
Cl (0.0076, 0.5721, 0.7686)  2 Pr 2.88
Cl (0.9924, 0.4279, 0.2314)  2 Pr 2.88
Cl (0.9924, 0.9279, 0.2686)  2 Pr 2.88
Cl (0.5076, 0.4279, 0.2314)  2 Pr 2.88
Cl (0.0076, 0.0721, 0.7314)  2 Pr 2.88
Cl (0.4924, 0.5721, 0.7686)  2 Pr 2.88
Cl (0.4924, 0.0721, 0.7314)  2 Pr 2.88
Cl (0.5076, 0.9279, 0.2686)  2 Pr 2.88
Cl (0.2500, 0.5260, 0.0861)  2 Pr 2.85-2.89
Cl (0.7500, 0.4740, 0.9139)  2 Pr 2.85-2.89
Cl (0.7500, 0.9740, 0.5861)  2 Pr 2.85-2.89
Cl (0.2500, 0.0260, 0.4139)  2 Pr 2.85-2.89
Cl (0.2500, 0.8792, 0.1237)  2 Pr 2.75-2.88
Cl (0.7500, 0.1208, 0.8763)  2 Pr 2.75-2.88
Cl (0.7500, 0.6208, 0.6237)  2 Pr 2.75-2.88
Cl (0.2500, 0.3792, 0.3763)  2 Pr 2.75-2.88
Cl (0.2500, 0.8401, 0.9198)  3 Pr 2.97-3.09, 1 Cl 3.15
Cl (0.7500, 0.1599, 0.0802)  3 Pr 2.97-3.09, 1 Cl 3.15
Cl (0.7500, 0.6599, 0.4198)  3 Pr 2.97-3.09, 1 Cl 3.15
Cl (0.2500, 0.3401, 0.5802)  3 Pr 2.97-3.09, 1 Cl 3.15
Cl (0.2500, 0.6330, 0.9048)  3 Pr 2.91-2.99, 1 Cl 3.15
Cl (0.7500, 0.3670, 0.0952)  3 Pr 2.91-2.99, 1 Cl 3.15
Cl (0.7500, 0.8670, 0.4048)  3 Pr 2.91-2.99, 1 Cl 3.15
Cl (0.2500, 0.1330, 0.5952)  3 Pr 2.91-2.99, 1 Cl 3.15